# 1
28
Lattice="6.883 0.000 0.000 0.000 7.341 0.000 0.000 0.000 13.552" Properties=species:S:1:pos:R:3 comment="Ca2SnS4 (PBE, optimized geometry)" volume_a3_per_fu=171 e_above_lowest_polymorph_kj_per_mol_atoms=8.6 total_energy_ev_per_atom=-4.81 corrected_energy_ev_per_cell=-142.76 pbc="T T T"
S 1.305 2.233 6.066
Sn 0.000 3.670 0.000
S 4.746 2.233 0.710
Ca 3.365 4.385 1.963
S 2.632 7.049 2.352
Ca 6.807 4.385 4.813
S 0.809 0.291 9.128
S 4.746 1.437 7.486
S 4.251 3.379 4.424
S 1.305 1.437 12.842
Ca 6.807 6.626 11.589
S 2.632 3.962 9.128
Ca 3.518 0.715 4.813
S 6.074 7.049 4.424
Sn 3.442 0.000 0.000
S 2.137 5.108 12.842
S 0.809 3.379 2.352
Sn 0.000 0.000 6.776
Ca 3.365 6.626 8.739
S 5.578 5.903 0.710
Ca 0.076 0.715 1.963
S 4.251 0.291 11.200
Sn 3.442 3.670 6.776
S 5.578 5.108 7.486
Ca 0.076 2.955 8.739
S 6.074 3.962 11.200
S 2.137 5.903 6.066
Ca 3.518 2.955 11.589


# 2
10
Lattice="0.000 4.739 4.739 4.739 0.000 4.739 4.739 4.739 0.000" Properties=species:S:1:pos:R:3 comment="K2NbTlF6 (PBE, optimized geometry)" volume_a3_per_fu=213 total_energy_ev_per_atom=-5.06 corrected_energy_ev_per_cell=-53.40 pbc="T T T"
F 4.739 7.374 4.739
Nb 0.000 0.000 0.000
F 2.103 4.739 4.739
Tl 4.739 4.739 4.739
F 4.739 2.103 4.739
K 7.108 7.108 7.108
K 2.369 2.369 2.369
F 4.739 4.739 7.374
F 7.374 4.739 4.739
F 4.739 4.739 2.103


# 3
5
Lattice="-1.983 1.983 5.000 1.983 -1.983 5.000 1.983 1.983 -5.000" Properties=species:S:1:pos:R:3 comment="CeCoSi3 (PBE, optimized geometry)" volume_a3_per_fu=79 total_energy_ev_per_atom=-6.38 corrected_energy_ev_per_cell=-31.69 pbc="T T T"
Si 0.000 0.000 6.200
Si 0.000 1.983 2.500
Ce 0.000 0.000 0.000
Co 1.983 0.000 2.500
Si 0.000 0.000 3.799


# 4
36
Lattice="3.008 5.143 0.000 -3.008 5.143 0.000 0.000 3.951 13.634" Properties=species:S:1:pos:R:3 comment="Cu3As2H2PbO10 (PBE, optimized geometry)" volume_a3_per_fu=211 total_energy_ev_per_atom=-5.51 corrected_energy_ev_per_cell=-212.10 pbc="T T T"
O 0.261 1.880 1.678
O -0.261 12.357 11.956
H -1.334 4.349 1.917
As -1.258 7.755 1.929
Cu 0.000 1.976 6.817
O 0.072 5.393 5.688
O -0.678 7.755 3.542
O -0.261 3.856 8.495
H 1.334 9.888 11.717
O 0.261 10.382 5.139
H 1.334 6.325 8.735
O 1.742 4.271 1.314
O 0.678 9.731 10.359
O -1.742 6.247 8.131
O -1.742 9.966 12.321
Cu 1.504 4.547 6.817
As -1.258 4.506 4.888
Cu 0.000 7.119 6.817
O 0.678 6.482 10.092
O -0.072 8.844 7.946
As 1.258 6.482 11.705
Pb -1.439 8.106 10.226
O -1.479 7.952 5.929
O 0.072 6.868 1.129
Cu 0.000 5.143 0.000
Cu 0.000 0.000 0.000
O -0.678 4.507 3.275
O 1.479 9.928 12.746
O 1.742 7.991 5.503
Cu -1.504 2.572 0.000
As 1.258 9.731 8.746
O 1.479 6.285 7.706
H -1.334 7.912 4.900
O -0.072 7.369 12.505
Pb 1.439 6.131 3.409
O -1.479 4.309 0.889


# 5
16
Lattice="-0.539 -2.419 -5.095 0.742 -4.238 3.686 -6.450 -3.202 0.278" Properties=species:S:1:pos:R:3 comment="CaMgAsO4F (PBE, optimized geometry)" volume_a3_per_fu=102 total_energy_ev_per_atom=-6.24 corrected_energy_ev_per_cell=-106.19 pbc="T T T"
Mg -3.225 -1.601 0.139
Mg 0.000 0.000 0.000
O -4.283 -4.042 -2.875
O -1.963 -5.817 1.744
F -4.200 -6.491 3.176
As -1.282 -4.453 0.930
O -0.328 -3.477 1.990
O -3.668 -6.264 -1.322
Ca -4.520 -6.036 0.981
F -2.046 -3.368 -4.308
O -0.290 -4.881 -0.410
As -4.964 -5.405 -2.061
O -5.918 -6.381 -3.121
Ca -1.726 -3.823 -2.112
O -2.578 -3.594 0.191
O -5.956 -4.977 -0.721


# 6
108
Lattice="8.740 0.000 0.000 -4.370 7.605 0.043 0.000 0.128 22.647" Properties=species:S:1:pos:R:3 comment="NaTiInP2SO12 (PBE, optimized geometry)" volume_a3_per_fu=251 total_energy_ev_per_atom=-6.89 corrected_energy_ev_per_cell=-794.12 pbc="T T T"
O -1.070 3.704 19.554
O 2.671 2.618 9.593
O 1.479 4.899 13.093
O 3.609 4.205 11.959
S 5.601 5.451 17.037
P 1.327 2.295 16.989
O 5.085 6.139 2.040
O -0.794 1.531 13.334
In 8.673 0.113 14.685
Na 4.259 7.617 11.398
O 3.363 6.604 20.644
O -0.526 6.651 13.167
Ti 0.017 5.117 0.485
O 2.890 2.385 16.853
Na -0.111 5.039 3.835
O -0.984 6.482 22.041
O 0.526 1.559 9.363
O 0.761 6.719 8.199
O 2.579 2.314 0.637
P 7.413 2.231 5.666
S -1.231 2.938 20.797
O 0.794 6.623 17.138
P 2.578 5.258 20.785
O 1.607 5.389 22.021
O -1.007 4.026 13.081
O 4.896 4.137 16.927
O -0.715 3.626 5.800
O 5.354 3.840 3.155
Na 4.259 2.589 18.918
O 5.130 4.141 0.635
O -0.761 1.627 4.395
In 4.303 2.690 22.248
O 3.655 6.203 13.363
O -1.479 4.835 1.770
O 0.667 3.557 10.663
O 0.761 1.692 15.719
O 3.703 6.071 6.903
O 5.977 2.811 14.457
O 2.763 2.747 3.134
Na 4.481 2.525 7.595
O -1.791 4.892 8.200
O 2.579 7.469 15.763
Ti -0.017 0.154 19.329
P 3.043 4.808 13.229
Na -4.259 7.552 0.075
O 0.984 1.390 18.238
Ti -0.017 5.181 11.809
O 5.440 1.062 0.668
P 1.792 2.616 1.899
O 1.698 0.105 13.353
O 3.363 1.448 5.518
O 5.849 2.321 5.530
In -0.066 5.140 7.165
In 4.436 2.626 10.925
P -2.578 5.194 9.462
O 5.037 0.979 3.100
P 6.948 2.681 13.222
O 7.041 0.040 2.030
O 0.526 6.586 1.843
O -0.761 6.783 19.522
O 3.655 1.176 20.883
Ti 0.017 0.090 8.005
S 5.601 0.296 1.910
O 1.607 0.233 6.894
O -0.794 6.558 5.814
O 6.068 2.682 20.916
Ti 4.387 2.668 15.569
P 2.578 0.103 5.659
O -2.890 7.477 20.656
O 3.576 4.109 20.898
P 6.162 0.167 16.982
O 7.132 0.298 18.217
O -1.607 5.325 10.697
In 0.066 0.048 3.362
O 0.984 6.418 10.718
O -1.698 5.196 17.156
P 5.696 4.744 1.906
O 1.791 4.956 19.523
Ti 4.353 2.603 4.245
P 1.327 7.322 9.469
O -3.300 6.218 15.794
O 1.070 3.640 8.231
O 0.794 1.467 2.011
O 3.703 1.044 14.423
O -0.526 1.623 20.686
O 7.756 1.326 6.914
O 3.300 1.127 11.991
S 1.231 2.874 9.473
O 5.376 1.512 16.841
O 5.037 6.135 18.227
O 1.007 3.962 1.758
O 2.890 7.412 9.333
P -1.327 7.386 20.793
S 3.138 5.387 5.714
O -3.363 6.539 9.321
O 1.698 5.132 5.833
S 3.138 0.360 13.233
O -2.579 7.405 4.440
O 3.300 6.154 4.471
O 5.164 4.045 9.574
O 0.715 3.690 17.123
Na 0.111 5.103 15.158
In 0.066 5.204 18.488
O 6.161 2.378 11.960
O 3.386 3.904 14.478
O -0.667 3.621 21.987
O 5.085 1.112 9.560
O 3.844 4.073 5.603


# 7
40
Lattice="-3.028 -5.742 -4.587 -2.547 -0.956 7.469 -2.363 7.086 -2.719" Properties=species:S:1:pos:R:3 comment="Y3Al2Ni6H9 (PBE, optimized geometry)" volume_a3_per_fu=193 total_energy_ev_per_atom=-4.99 corrected_energy_ev_per_cell=-202.88 pbc="T T T"
H -0.803 -1.523 -1.217
H 0.000 0.000 0.000
H -2.787 -3.349 1.441
Ni -2.589 2.734 -3.353
H -4.089 -1.003 -2.933
H -2.455 3.065 2.375
Ni -3.720 -1.816 -1.501
Y -1.320 1.648 1.277
Y -4.076 -4.898 2.107
H -4.135 -3.013 -0.386
Ni -3.494 2.535 -0.867
Ni -3.556 -0.193 2.589
Ni -2.710 -2.580 3.379
Y -3.590 4.482 3.473
Al -1.514 -2.871 -2.294
Al -1.182 3.543 -1.359
H -3.803 3.401 0.549
Y -1.499 -1.801 0.775
Ni -2.426 4.358 0.737
H -5.832 0.285 0.120
Ni -2.484 1.772 4.013
H -3.849 1.390 3.096
Al -3.969 0.194 0.081
Y -3.942 0.982 -5.342
Ni -4.218 2.204 1.664
H -4.015 -1.817 2.628
H -1.871 -0.703 5.488
H -2.105 0.103 0.043
Al -1.273 -0.478 3.734
H -1.737 5.206 -1.998
Y -1.449 0.361 -1.964
H -0.627 1.879 -0.721
Ni -4.381 0.580 -2.426
H -0.675 -0.254 1.981
H -3.923 2.204 -2.465
H -2.696 0.672 -3.653
Ni -2.802 -1.391 -3.953
Ni -2.865 -4.119 -0.498
H -2.225 -4.219 -3.371
Ni -4.443 -2.148 1.030


# 8
11
Lattice="4.115 0.000 0.000 0.000 6.486 0.000 -2.057 -3.243 6.891" Properties=species:S:1:pos:R:3 comment="U3Fe4Ge4 (PBE, optimized geometry)" volume_a3_per_fu=184 total_energy_ev_per_atom=-8.09 pbc="T T T"
Fe 0.000 -1.911 4.468
Fe 2.057 5.154 2.422
U 0.000 0.000 0.000
Ge 0.000 0.000 2.860
Ge 2.057 4.534 0.000
U 2.057 0.000 5.002
Ge 2.057 1.953 0.000
Fe 0.000 1.911 4.468
U 0.000 3.243 1.889
Ge 2.057 3.243 4.031
Fe 2.057 1.332 2.422


# 9
7
Lattice="-2.620 2.620 5.435 2.620 -2.620 5.435 2.620 2.620 -5.435" Properties=species:S:1:pos:R:3 comment="ZnGa2S4 (PBE, optimized geometry)" volume_a3_per_fu=149 e_ij_max_c_m2=0.08 total_energy_ev_per_atom=-4.13 corrected_energy_ev_per_cell=-30.94 pbc="T T T"
S 1.243 1.243 -1.326
Zn 0.000 0.000 5.435
Ga 2.620 0.000 2.718
S -1.377 1.377 6.762
Ga 0.000 2.620 2.718
S 1.377 -1.377 6.762
S 1.377 1.377 4.109


# 10
13
Lattice="5.257 -0.320 -1.696 -1.852 -3.790 -3.417 -1.219 3.516 -4.078" Properties=species:S:1:pos:R:3 comment="Tb2MgNb2O8 (PBE, optimized geometry)" volume_a3_per_fu=164 e_above_lowest_polymorph_kj_per_mol_atoms=3.3 total_energy_ev_per_atom=-8.20 corrected_energy_ev_per_cell=-112.12 pbc="T T T"
Tb 3.599 0.587 -2.216
O 0.685 2.367 -5.663
Mg 3.290 -0.855 -4.753
O 0.102 0.313 -7.300
O -0.362 0.410 -2.554
O -1.286 -2.397 -2.688
Tb -1.513 -1.292 -6.773
Nb 1.924 0.873 -6.504
O 1.892 0.444 -4.076
O 2.553 -1.086 -6.522
O 0.176 -1.568 -5.068
O 3.370 2.016 -5.997
Nb 0.756 -1.152 -3.289


# 11
10
Lattice="1.102 -4.159 -3.881 3.116 -4.639 1.531 -2.560 -5.175 0.494" Properties=species:S:1:pos:R:3 comment="Na3GaF6 (PBE, optimized geometry)" volume_a3_per_fu=138 total_energy_ev_per_atom=-4.52 corrected_energy_ev_per_cell=-48.00 pbc="T T T"
Na 0.415 -3.493 -0.464
F 2.050 -5.733 0.385
Na 0.829 -6.987 -0.928
Ga 0.000 0.000 0.000
F -0.392 -8.240 -2.241
F 0.683 -8.497 0.649
Na 1.244 -10.480 -1.392
F 2.639 -7.954 -1.687
F 0.975 -5.477 -2.505
F -0.981 -6.019 -0.169


# 12
15
Lattice="4.675 0.000 0.000 0.000 4.675 0.000 0.000 0.000 19.209" Properties=species:S:1:pos:R:3 comment="Ce4Bi8Pd3 (PBE, optimized geometry)" volume_a3_per_fu=420 total_energy_ev_per_atom=-5.33 pbc="T T T"
Bi 0.000 2.338 1.534
Bi 2.338 0.000 7.925
Ce 0.000 2.338 7.371
Bi 0.000 0.000 14.416
Bi 0.000 0.000 4.793
Ce 2.338 0.000 2.146
Pd 0.000 0.000 9.605
Ce 2.338 0.000 11.839
Pd 0.000 0.000 0.000
Bi 2.338 0.000 17.675
Ce 0.000 2.338 17.063
Bi 2.338 2.338 4.790
Pd 2.338 2.338 9.605
Bi 0.000 2.338 11.285
Bi 2.338 2.338 14.419